Run one
Mg6CrCO8: optimized geometry, GGA+U.

Output
- Density: 3.639 g cm⁻³

```
data_Mg6CrCO8
_space_group_name_H-M_alt 'P 1'
_space_group_IT_number 1
_space_group_name_Hall 'P 1'
_cell_length_a 4.2670
_cell_length_b 4.2670
_cell_length_c 8.4667
_cell_angle_alpha 90.00
_cell_angle_beta 90.00
_cell_angle_gamma 90.00
loop_
_atom_site_label
_atom_site_type_symbol
_atom_site_fract_x
_atom_site_fract_y
_atom_site_fract_z
Mg1 Mg 0.0000 0.0000 0.0000
Mg2 Mg 0.0000 0.5000 0.2543
Mg3 Mg 0.0000 0.5000 0.7457
Mg4 Mg 0.5000 0.0000 0.2543
Mg5 Mg 0.5000 0.0000 0.7457
Mg6 Mg 0.5000 0.5000 0.0000
Cr1 Cr 0.0000 0.0000 0.5000
C1 C 0.5000 0.5000 0.5000
O1 O 0.0000 0.0000 0.2537
O2 O 0.0000 0.0000 0.7463
O3 O 0.0000 0.5000 0.0000
O4 O 0.0000 0.5000 0.5000
O5 O 0.5000 0.0000 0.0000
O6 O 0.5000 0.0000 0.5000
O7 O 0.5000 0.5000 0.2457
O8 O 0.5000 0.5000 0.7543
```

---

Run two
Mg6CrCO8: optimized geometry, GGA+U.

Output
- Density: 3.587 g cm⁻³

```
data_Mg6CrCO8
_space_group_name_H-M_alt 'P 1'
_space_group_IT_number 1
_space_group_name_Hall 'P 1'
_cell_length_a 4.1754
_cell_length_b 4.1754
_cell_length_c 8.9705
_cell_angle_alpha 90.00
_cell_angle_beta 90.00
_cell_angle_gamma 90.00
loop_
_atom_site_label
_atom_site_type_symbol
_atom_site_fract_x
_atom_site_fract_y
_atom_site_fract_z
Mg1 Mg 0.0000 0.0000 0.0000
Mg2 Mg 0.0000 0.0000 0.5000
Mg3 Mg 0.0000 0.5000 0.2400
Mg4 Mg 0.0000 0.5000 0.7600
Mg5 Mg 0.5000 0.0000 0.2400
Mg6 Mg 0.5000 0.0000 0.7600
Cr1 Cr 0.5000 0.5000 0.5000
C1 C 0.5000 0.5000 0.0000
O1 O 0.0000 0.0000 0.2469
O2 O 0.0000 0.0000 0.7531
O3 O 0.0000 0.5000 0.0000
O4 O 0.0000 0.5000 0.5000
O5 O 0.5000 0.0000 0.0000
O6 O 0.5000 0.0000 0.5000
O7 O 0.5000 0.5000 0.2786
O8 O 0.5000 0.5000 0.7214
```

---

So which one is most stable? That would be run two, about 9 meV/atom below the next structure.

---

Run one
Mg14CrCO16: optimized geometry, GGA+U.

Output
- Density: 3.538 g cm⁻³

```
data_Mg14CrCO16
_space_group_name_H-M_alt 'P 1'
_space_group_IT_number 1
_space_group_name_Hall 'P 1'
_cell_length_a 8.4921
_cell_length_b 8.4921
_cell_length_c 4.2966
_cell_angle_alpha 90.00
_cell_angle_beta 90.00
_cell_angle_gamma 90.00
loop_
_atom_site_label
_atom_site_type_symbol
_atom_site_fract_x
_atom_site_fract_y
_atom_site_fract_z
Mg1 Mg 0.0000 0.2447 0.0000
Mg2 Mg 0.0000 0.5000 0.5000
Mg3 Mg 0.0000 0.7553 0.0000
Mg4 Mg 0.2447 0.0000 0.0000
Mg5 Mg 0.2456 0.2456 0.5000
Mg6 Mg 0.2456 0.7544 0.5000
Mg7 Mg 0.2482 0.5000 0.0000
Mg8 Mg 0.5000 0.0000 0.5000
Mg9 Mg 0.5000 0.2482 0.0000
Mg10 Mg 0.5000 0.7518 0.0000
Mg11 Mg 0.7518 0.5000 0.0000
Mg12 Mg 0.7544 0.2456 0.5000
Mg13 Mg 0.7544 0.7544 0.5000
Mg14 Mg 0.7553 0.0000 0.0000
Cr1 Cr 0.5000 0.5000 0.5000
C1 C 0.0000 0.0000 0.5000
O1 O 0.0000 0.0000 0.0000
O2 O 0.0000 0.2552 0.5000
O3 O 0.0000 0.5000 0.0000
O4 O 0.0000 0.7448 0.5000
O5 O 0.2498 0.2498 0.0000
O6 O 0.2498 0.7502 0.0000
O7 O 0.2510 0.5000 0.5000
O8 O 0.2552 0.0000 0.5000
O9 O 0.5000 0.0000 0.0000
O10 O 0.5000 0.2510 0.5000
O11 O 0.5000 0.5000 0.0000
O12 O 0.5000 0.7490 0.5000
O13 O 0.7448 0.0000 0.5000
O14 O 0.7490 0.5000 0.5000
O15 O 0.7502 0.2498 0.0000
O16 O 0.7502 0.7502 0.0000
```

---

Run two
Mg14CrCO16: optimized geometry, GGA+U.

Output
- Density: 3.527 g cm⁻³

```
data_Mg14CrCO16
_space_group_name_H-M_alt 'P 1'
_space_group_IT_number 1
_space_group_name_Hall 'P 1'
_cell_length_a 4.2085
_cell_length_b 8.4541
_cell_length_c 8.7374
_cell_angle_alpha 90.00
_cell_angle_beta 90.00
_cell_angle_gamma 90.00
loop_
_atom_site_label
_atom_site_type_symbol
_atom_site_fract_x
_atom_site_fract_y
_atom_site_fract_z
Mg1 Mg 0.0000 0.0000 0.0000
Mg2 Mg 0.0000 0.0000 0.5000
Mg3 Mg 0.0000 0.2543 0.2445
Mg4 Mg 0.0000 0.2543 0.7555
Mg5 Mg 0.0000 0.7457 0.2445
Mg6 Mg 0.0000 0.7457 0.7555
Mg7 Mg 0.5000 0.0000 0.2484
Mg8 Mg 0.5000 0.0000 0.7516
Mg9 Mg 0.5000 0.2493 0.5000
Mg10 Mg 0.5000 0.2541 0.0000
Mg11 Mg 0.5000 0.5000 0.2428
Mg12 Mg 0.5000 0.5000 0.7572
Mg13 Mg 0.5000 0.7459 0.0000
Mg14 Mg 0.5000 0.7507 0.5000
Cr1 Cr 0.0000 0.5000 0.5000
C1 C 0.0000 0.5000 0.0000
O1 O 0.0000 0.0000 0.2524
O2 O 0.0000 0.0000 0.7476
O3 O 0.0000 0.2447 0.0000
O4 O 0.0000 0.2534 0.5000
O5 O 0.0000 0.5000 0.2748
O6 O 0.0000 0.5000 0.7252
O7 O 0.0000 0.7466 0.5000
O8 O 0.0000 0.7553 0.0000
O9 O 0.5000 0.0000 0.0000
O10 O 0.5000 0.0000 0.5000
O11 O 0.5000 0.2515 0.2495
O12 O 0.5000 0.2515 0.7505
O13 O 0.5000 0.5000 0.0000
O14 O 0.5000 0.5000 0.5000
O15 O 0.5000 0.7485 0.2495
O16 O 0.5000 0.7485 0.7505
```

---

So which one is most stable? That would be run two, about 9 meV/atom below the next structure.

---

Run one
VH17C4S4O20F12: optimized geometry, GGA+U.

Output
- Density: 1.783 g cm⁻³

```
data_VH17C4S4O20F12
_space_group_name_H-M_alt 'P 1'
_space_group_IT_number 1
_space_group_name_Hall 'P 1'
_cell_length_a 8.9989
_cell_length_b 9.0198
_cell_length_c 9.9381
_cell_angle_alpha 70.21
_cell_angle_beta 76.63
_cell_angle_gamma 87.81
loop_
_atom_site_label
_atom_site_type_symbol
_atom_site_fract_x
_atom_site_fract_y
_atom_site_fract_z
V1 V 0.0000 0.0000 0.0000
H1 H 0.0132 0.3153 0.8407
H2 H 0.1231 0.8245 0.8338
H3 H 0.1768 0.1125 0.1347
H4 H 0.1860 0.2458 0.8136
H5 H 0.2340 0.9368 0.1469
H6 H 0.2641 0.9393 0.8337
H7 H 0.3515 0.6524 0.9808
H8 H 0.4753 0.2843 0.1090
H9 H 0.5000 0.5000 0.0000
H10 H 0.5247 0.7157 0.8910
H11 H 0.6485 0.3476 0.0192
H12 H 0.7359 0.0607 0.1663
H13 H 0.7660 0.0632 0.8531
H14 H 0.8140 0.7542 0.1864
H15 H 0.8232 0.8875 0.8653
H16 H 0.8769 0.1755 0.1662
H17 H 0.9868 0.6847 0.1593
C1 C 0.0765 0.2972 0.4234
C2 C 0.4267 0.7859 0.4540
C3 C 0.5733 0.2141 0.5460
C4 C 0.9235 0.7028 0.5766
S1 S 0.0858 0.3630 0.2212
S2 S 0.4918 0.1563 0.7484
S3 S 0.5082 0.8437 0.2516
S4 S 0.9142 0.6370 0.7788
O1 O 0.0645 0.6859 0.7861
O2 O 0.0737 0.2189 0.8550
O3 O 0.1162 0.5334 0.1685
O4 O 0.1556 0.0141 0.1158
O5 O 0.1557 0.8956 0.8811
O6 O 0.2135 0.2773 0.1641
O7 O 0.3692 0.2644 0.7638
O8 O 0.3791 0.8216 0.1940
O9 O 0.4393 0.9905 0.7908
O10 O 0.4602 0.6336 0.9737
O11 O 0.5398 0.3664 0.0263
O12 O 0.5607 0.0095 0.2092
O13 O 0.6209 0.1784 0.8060
O14 O 0.6308 0.7356 0.2362
O15 O 0.7865 0.7227 0.8359
O16 O 0.8443 0.1044 0.1189
O17 O 0.8444 0.9859 0.8842
O18 O 0.8838 0.4666 0.8315
O19 O 0.9263 0.7811 0.1450
O20 O 0.9355 0.3141 0.2139
F1 F 0.0489 0.6489 0.5064
F2 F 0.0694 0.1379 0.4785
F3 F 0.2019 0.3515 0.4478
F4 F 0.3031 0.8712 0.4804
F5 F 0.3839 0.6313 0.5100
F6 F 0.4691 0.1864 0.4773
F7 F 0.5309 0.8136 0.5227
F8 F 0.6161 0.3687 0.4900
F9 F 0.6969 0.1288 0.5196
F10 F 0.7981 0.6485 0.5522
F11 F 0.9306 0.8621 0.5215
F12 F 0.9511 0.3511 0.4936
```

---

Run two
VH17C4S4O20F12: optimized geometry, GGA+U.

Output
- Density: 1.933 g cm⁻³

```
data_VH17C4S4O20F12
_space_group_name_H-M_alt 'P 1'
_space_group_IT_number 1
_space_group_name_Hall 'P 1'
_cell_length_a 8.9344
_cell_length_b 9.0609
_cell_length_c 9.1752
_cell_angle_alpha 70.49
_cell_angle_beta 76.49
_cell_angle_gamma 84.85
loop_
_atom_site_label
_atom_site_type_symbol
_atom_site_fract_x
_atom_site_fract_y
_atom_site_fract_z
V1 V 0.0000 0.0000 0.0000
H1 H 0.0066 0.6835 0.1532
H2 H 0.1426 0.8203 0.8268
H3 H 0.1721 0.2502 0.8162
H4 H 0.1782 0.0979 0.1498
H5 H 0.2356 0.9197 0.1555
H6 H 0.2773 0.9341 0.8310
H7 H 0.4153 0.3109 0.0969
H8 H 0.4393 0.6815 0.0476
H9 H 0.5000 0.5000 0.0000
H10 H 0.5607 0.3185 0.9524
H11 H 0.5847 0.6891 0.9031
H12 H 0.7227 0.0659 0.1690
H13 H 0.7644 0.0803 0.8445
H14 H 0.8218 0.9021 0.8502
H15 H 0.8279 0.7498 0.1838
H16 H 0.8574 0.1797 0.1732
H17 H 0.9934 0.3165 0.8468
C1 C 0.0680 0.2914 0.4472
C2 C 0.4225 0.7819 0.4719
C3 C 0.5775 0.2181 0.5281
C4 C 0.9320 0.7086 0.5528
S1 S 0.0908 0.3613 0.2270
S2 S 0.4943 0.1736 0.7453
S3 S 0.5057 0.8264 0.2547
S4 S 0.9092 0.6387 0.7730
O1 O 0.0556 0.6716 0.7985
O2 O 0.0615 0.2215 0.8608
O3 O 0.1292 0.5264 0.1779
O4 O 0.1548 0.0019 0.1290
O5 O 0.1664 0.9062 0.8621
O6 O 0.2208 0.2633 0.1751
O7 O 0.3622 0.2792 0.7553
O8 O 0.3797 0.7887 0.1937
O9 O 0.4596 0.0066 0.8009
O10 O 0.4819 0.6411 0.9578
O11 O 0.5181 0.3589 0.0422
O12 O 0.5404 0.9934 0.1991
O13 O 0.6203 0.2113 0.8063
O14 O 0.6378 0.7208 0.2447
O15 O 0.7792 0.7367 0.8249
O16 O 0.8336 0.0938 0.1379
O17 O 0.8452 0.9981 0.8710
O18 O 0.8708 0.4736 0.8221
O19 O 0.9385 0.7785 0.1392
O20 O 0.9444 0.3284 0.2015
F1 F 0.0599 0.1335 0.5037
F2 F 0.0624 0.6478 0.4849
F3 F 0.1891 0.3363 0.4864
F4 F 0.2931 0.8696 0.4929
F5 F 0.3878 0.6293 0.5422
F6 F 0.4750 0.1809 0.4587
F7 F 0.5250 0.8191 0.5413
F8 F 0.6122 0.3707 0.4578
F9 F 0.7069 0.1304 0.5071
F10 F 0.8109 0.6637 0.5136
F11 F 0.9376 0.3522 0.5151
F12 F 0.9401 0.8665 0.4963
```

---

So which one is most stable? That would be run two, about 9 meV/atom below the next structure.

---

Run one
FeH7C3NO6: optimized geometry, GGA+U.

Output
- Density: 1.723 g cm⁻³

```
data_FeH7C3NO6
_space_group_name_H-M_alt 'P 1'
_space_group_IT_number 1
_space_group_name_Hall 'P 1'
_cell_length_a 7.4500
_cell_length_b 7.4500
_cell_length_c 8.4873
_cell_angle_alpha 90.22
_cell_angle_beta 90.22
_cell_angle_gamma 58.76
loop_
_atom_site_label
_atom_site_type_symbol
_atom_site_fract_x
_atom_site_fract_y
_atom_site_fract_z
Fe1 Fe 0.1672 0.1672 0.2496
Fe2 Fe 0.8328 0.8328 0.7504
H1 H 0.0841 0.9159 0.0000
H2 H 0.0866 0.4984 0.4973
H3 H 0.3463 0.5894 0.7180
H4 H 0.4106 0.6537 0.2820
H5 H 0.4144 0.4348 0.2199
H6 H 0.5016 0.9134 0.5027
H7 H 0.5057 0.0820 0.9983
H8 H 0.5226 0.3959 0.8428
H9 H 0.5652 0.5856 0.7801
H10 H 0.5841 0.3933 0.6582
H11 H 0.6041 0.4774 0.1572
H12 H 0.6067 0.4159 0.3418
H13 H 0.9168 0.0832 0.5000
H14 H 0.9180 0.4943 0.0017
C1 C 0.0634 0.4999 0.0033
C2 C 0.0681 0.9319 0.5000
C3 C 0.5001 0.9366 0.9967
C4 C 0.5033 0.0610 0.4993
C5 C 0.9327 0.0673 0.0000
C6 C 0.9390 0.4967 0.5007
N1 N 0.5031 0.4933 0.7500
N2 N 0.5067 0.4969 0.2500
O1 O 0.0824 0.6125 0.9011
O2 O 0.0958 0.8004 0.6068
O3 O 0.1996 0.9042 0.3932
O4 O 0.2006 0.3915 0.1080
O5 O 0.3875 0.9176 0.0989
O6 O 0.3906 0.1968 0.3971
O7 O 0.6085 0.7994 0.8920
O8 O 0.6192 0.0832 0.5989
O9 O 0.7951 0.0921 0.8992
O10 O 0.8032 0.6094 0.6029
O11 O 0.9079 0.2049 0.1008
O12 O 0.9168 0.3808 0.4011
```

---

Run two
FeH7C3NO6: optimized geometry, GGA+U.

Output
- Density: 1.729 g cm⁻³

```
data_FeH7C3NO6
_space_group_name_H-M_alt 'P 1'
_space_group_IT_number 1
_space_group_name_Hall 'P 1'
_cell_length_a 12.8315
_cell_length_b 12.8315
_cell_length_c 8.4414
_cell_angle_alpha 90.00
_cell_angle_beta 90.00
_cell_angle_gamma 120.00
loop_
_atom_site_label
_atom_site_type_symbol
_atom_site_fract_x
_atom_site_fract_y
_atom_site_fract_z
Fe1 Fe 0.0046 0.3356 0.0000
Fe2 Fe 0.3309 0.9954 0.0000
Fe3 Fe 0.3356 0.3309 0.5000
Fe4 Fe 0.6644 0.6691 0.0000
Fe5 Fe 0.6691 0.0046 0.5000
Fe6 Fe 0.9954 0.6644 0.5000
H1 H 0.0000 0.0000 0.4275
H2 H 0.0000 0.0000 0.9275
H3 H 0.0276 0.0875 0.0884
H4 H 0.0516 0.5075 0.7163
H5 H 0.0599 0.9724 0.0884
H6 H 0.0875 0.0599 0.5884
H7 H 0.1319 0.2796 0.7329
H8 H 0.1478 0.8681 0.7329
H9 H 0.1691 0.3829 0.2951
H10 H 0.2137 0.8309 0.2951
H11 H 0.2463 0.6409 0.4146
H12 H 0.2727 0.5795 0.9157
H13 H 0.2796 0.1478 0.2329
H14 H 0.3068 0.7273 0.9157
H15 H 0.3333 0.6667 0.0766
H16 H 0.3333 0.6667 0.5758
H17 H 0.3591 0.6055 0.4146
H18 H 0.3829 0.2137 0.7951
H19 H 0.3945 0.7537 0.4146
H20 H 0.4205 0.6932 0.9157
H21 H 0.4560 0.9484 0.7163
H22 H 0.4925 0.5440 0.7163
H23 H 0.5075 0.4560 0.2163
H24 H 0.5440 0.0516 0.2163
H25 H 0.5795 0.3068 0.4157
H26 H 0.6055 0.2463 0.9146
H27 H 0.6171 0.7863 0.2951
H28 H 0.6409 0.3945 0.9146
H29 H 0.6667 0.3333 0.0758
H30 H 0.6667 0.3333 0.5766
H31 H 0.6932 0.2727 0.4157
H32 H 0.7204 0.8522 0.7329
H33 H 0.7273 0.4205 0.4157
H34 H 0.7537 0.3591 0.9146
H35 H 0.7863 0.1691 0.7951
H36 H 0.8309 0.6171 0.7951
H37 H 0.8522 0.1319 0.2329
H38 H 0.8681 0.7204 0.2329
H39 H 0.9125 0.9401 0.0884
H40 H 0.9401 0.0276 0.5884
H41 H 0.9484 0.4925 0.2163
H42 H 0.9724 0.9125 0.5884
C1 C 0.0459 0.5300 0.2362
C2 C 0.1373 0.2871 0.2691
C3 C 0.1498 0.8627 0.2691
C4 C 0.1894 0.3781 0.7427
C5 C 0.1887 0.8106 0.7427
C6 C 0.2871 0.1498 0.7691
C7 C 0.3781 0.1887 0.2427
C8 C 0.4700 0.5159 0.2362
C9 C 0.4841 0.9541 0.2362
C10 C 0.5159 0.0459 0.7362
C11 C 0.5300 0.4841 0.7362
C12 C 0.6219 0.8113 0.7427
C13 C 0.7129 0.8502 0.2691
C14 C 0.8113 0.1894 0.2427
C15 C 0.8106 0.6219 0.2427
C16 C 0.8502 0.1373 0.7691
C17 C 0.8627 0.7129 0.7691
C18 C 0.9541 0.4700 0.7362
N1 N 0.0000 0.0000 0.0488
N2 N 0.0000 0.0000 0.5488
N3 N 0.3333 0.6667 0.4545
N4 N 0.3333 0.6667 0.9555
N5 N 0.6667 0.3333 0.4555
N6 N 0.6667 0.3333 0.9545
O1 O 0.0593 0.8284 0.3581
O2 O 0.0684 0.2413 0.1493
O3 O 0.0927 0.6017 0.3530
O4 O 0.1025 0.4982 0.1437
O5 O 0.1568 0.7253 0.6448
O6 O 0.1642 0.4296 0.8535
O7 O 0.1716 0.2309 0.3581
O8 O 0.1728 0.9316 0.1493
O9 O 0.2309 0.0593 0.8581
O10 O 0.2413 0.1728 0.6493
O11 O 0.2654 0.8358 0.8535
O12 O 0.2747 0.4315 0.6448
O13 O 0.3958 0.8975 0.1437
O14 O 0.3983 0.4910 0.3530
O15 O 0.4296 0.2654 0.3535
O16 O 0.4315 0.1568 0.1448
O17 O 0.4910 0.0927 0.8530
O18 O 0.4982 0.3958 0.6437
O19 O 0.5018 0.6042 0.1437
O20 O 0.5090 0.9073 0.3530
O21 O 0.5685 0.8432 0.6448
O22 O 0.5704 0.7346 0.8535
O23 O 0.6017 0.5090 0.8530
O24 O 0.6042 0.1025 0.6437
O25 O 0.7253 0.5685 0.1448
O26 O 0.7346 0.1642 0.3535
O27 O 0.7587 0.8272 0.1493
O28 O 0.7691 0.9407 0.3581
O29 O 0.8272 0.0684 0.6493
O30 O 0.8284 0.7691 0.8581
O31 O 0.8358 0.5704 0.3535
O32 O 0.8432 0.2747 0.1448
O33 O 0.8975 0.5018 0.6437
O34 O 0.9073 0.3983 0.8530
O35 O 0.9316 0.7587 0.6493
O36 O 0.9407 0.1716 0.8581
```

---

So which one is most stable? That would be run two, about 10 meV/atom below the next structure.